1.
Below is crystalline CaAl2Si6O20 at its relaxed geometry, with properties calculated at the GGA-PBE level.

Results
Offset from the most stable computed form   182 meV per atom
Spin magnetization   6.0 μB/f.u.
E   -415.1 eV per cell
Space group   No. 7
E_form   -2406 meV per atom

Unit cell a=6.8957 b=14.1416 c=10.1365 alpha=90.00 beta=111.56 gamma=90.00
Positions (direct):
Ca 0.0000 0.2127 0.0000
Ca 0.0000 0.7873 0.5000
Al 0.3339 0.3573 0.2330
Al 0.3339 0.6427 0.7330
Al 0.9539 0.0048 0.5935
Al 0.9539 0.9952 0.0935
Si 0.2925 0.1541 0.5741
Si 0.2925 0.8459 0.0741
Si 0.3020 0.3727 0.5457
Si 0.3020 0.6273 0.0457
Si 0.3622 0.1265 0.2829
Si 0.3622 0.8735 0.7829
Si 0.6609 0.0417 0.7856
Si 0.6609 0.9583 0.2856
Si 0.6803 0.4936 0.7067
Si 0.6803 0.5064 0.2067
Si 0.9714 0.4706 0.0277
Si 0.9714 0.5294 0.5277
O 0.0823 0.0962 0.5486
O 0.0823 0.9038 0.0486
O 0.0972 0.3698 0.0798
O 0.0972 0.6302 0.5798
O 0.1347 0.0861 0.1791
O 0.1347 0.9139 0.6791
O 0.1368 0.4425 0.5798
O 0.1368 0.5575 0.0798
O 0.2529 0.2660 0.5864
O 0.2529 0.7340 0.0864
O 0.2791 0.3797 0.3827
O 0.2791 0.6203 0.8827
O 0.3101 0.1498 0.9971
O 0.3101 0.8502 0.4971
O 0.3615 0.2321 0.2157
O 0.3615 0.7679 0.7157
O 0.3800 0.1334 0.4466
O 0.3800 0.8666 0.9466
O 0.4778 0.1218 0.7245
O 0.4778 0.8782 0.2245
O 0.5381 0.3984 0.6536
O 0.5381 0.6016 0.1536
O 0.5426 0.4179 0.2198
O 0.5426 0.5821 0.7198
O 0.5567 0.0631 0.2776
O 0.5567 0.9369 0.7776
O 0.6407 0.2819 0.0110
O 0.6407 0.7181 0.5110
O 0.7250 0.2567 0.1357
O 0.7250 0.7433 0.6357
O 0.7917 0.4825 0.0937
O 0.7917 0.5175 0.5937
O 0.7995 0.0680 0.9503
O 0.7995 0.9320 0.4503
O 0.8121 0.0432 0.6950
O 0.8121 0.9568 0.1950
O 0.8488 0.2057 0.7342
O 0.8488 0.7943 0.2342
O 0.8640 0.4649 0.8565
O 0.8640 0.5351 0.3565

***

2.
Below is crystalline CaAl2Si4O14 at its relaxed geometry, with properties calculated at the GGA-PBE level.

Results
Offset from the most stable computed form   6 meV per atom
Spin magnetization   4.0 μB/f.u.
E   -300.4 eV per cell
Space group   No. 8
E_form   -2825 meV per atom

Unit cell a=10.0326 b=10.0326 c=7.5825 alpha=105.60 beta=105.60 gamma=83.14
Positions (direct):
Ca 0.0000 0.0000 0.0000
Ca 0.5074 0.5074 0.4777
Al 0.1907 0.5761 0.4676
Al 0.3186 0.9330 0.9977
Al 0.5761 0.1907 0.4676
Al 0.9330 0.3186 0.9977
Si 0.0568 0.2915 0.4088
Si 0.1329 0.8990 0.5776
Si 0.2200 0.4548 0.0576
Si 0.2915 0.0568 0.4088
Si 0.3773 0.6122 0.8920
Si 0.4548 0.2200 0.0576
Si 0.6122 0.3773 0.8920
Si 0.8990 0.1329 0.5776
O 0.0591 0.4265 0.0098
O 0.0787 0.4533 0.4525
O 0.1108 0.7393 0.4667
O 0.1641 0.9208 0.8073
O 0.2057 0.2057 0.4650
O 0.2280 0.9869 0.1820
O 0.2450 0.5654 0.9465
O 0.2638 0.9553 0.5313
O 0.2826 0.5189 0.2862
O 0.3107 0.3107 0.9945
O 0.3427 0.5835 0.6607
O 0.4047 0.7719 0.9947
O 0.4265 0.0591 0.0098
O 0.4533 0.0787 0.4525
O 0.5166 0.5166 0.9628
O 0.5189 0.2826 0.2862
O 0.5221 0.7526 0.4681
O 0.5654 0.2450 0.9465
O 0.5835 0.3427 0.6607
O 0.7393 0.1108 0.4667
O 0.7526 0.5221 0.4681
O 0.7719 0.4047 0.9947
O 0.7795 0.9800 0.0789
O 0.9208 0.1641 0.8073
O 0.9553 0.2638 0.5313
O 0.9800 0.7795 0.0789
O 0.9869 0.2280 0.1820
O 0.9916 0.9916 0.5061

***

3.
Below is crystalline CaAl2Si3O10 at its relaxed geometry, with properties calculated at the GGA-PBE level.

Results
Offset from the most stable computed form   178 meV per atom
Spin magnetization   0.0 μB/f.u.
E   -237.5 eV per cell
Space group   No. 1
E_form   -3147 meV per atom

Unit cell a=7.9686 b=9.7263 c=9.7480 alpha=83.39 beta=77.55 gamma=77.92
Positions (direct):
Ca 0.0000 0.0000 0.0000
Ca 0.4970 0.0149 0.9984
Al 0.1686 0.5136 0.8086
Al 0.2906 0.9420 0.6917
Al 0.6845 0.8223 0.5059
Al 0.7745 0.6751 0.9387
Si 0.1869 0.2464 0.9719
Si 0.2529 0.2330 0.7223
Si 0.4437 0.7226 0.8040
Si 0.6946 0.9785 0.2360
Si 0.7471 0.7288 0.2276
Si 0.9253 0.8193 0.7363
O 0.0798 0.1976 0.8529
O 0.0805 0.9058 0.7191
O 0.1342 0.4151 0.9757
O 0.1952 0.1205 0.0921
O 0.2140 0.3973 0.6721
O 0.3109 0.1090 0.6173
O 0.3185 0.6192 0.7952
O 0.3384 0.8785 0.8703
O 0.3808 0.2108 0.8478
O 0.4843 0.8064 0.6355
O 0.5747 0.8624 0.1993
O 0.6053 0.6439 0.8722
O 0.6540 0.9870 0.4038
O 0.7036 0.0979 0.1091
O 0.7237 0.6832 0.3932
O 0.7800 0.8644 0.8849
O 0.7870 0.6174 0.1107
O 0.8453 0.8225 0.6004
O 0.8829 0.8503 0.1920
O 0.9724 0.6461 0.8028

***

4.
Below is crystalline Ca2Al2Si3O12 at its relaxed geometry, with properties calculated at the GGA-PBE level.

Results
Spin magnetization   2.0 μB/f.u.
E   -276.6 eV per cell
Space group   No. 13
E_form   -3126 meV per atom

Unit cell a=5.5166 b=4.7048 c=19.3893 alpha=90.00 beta=105.41 gamma=90.00
Positions (direct):
Ca 0.0955 0.0093 0.1009
Ca 0.0955 0.9907 0.6009
Ca 0.9045 0.0093 0.3991
Ca 0.9045 0.9907 0.8991
Al 0.0000 0.1942 0.2500
Al 0.0000 0.8058 0.7500
Al 0.5000 0.0000 0.0000
Al 0.5000 0.0000 0.5000
Si 0.3743 0.4986 0.3808
Si 0.3743 0.5014 0.8808
Si 0.5000 0.1918 0.7500
Si 0.5000 0.8082 0.2500
Si 0.6257 0.4986 0.1192
Si 0.6257 0.5014 0.6192
O 0.1075 0.3621 0.3331
O 0.1075 0.6379 0.8331
O 0.1914 0.1741 0.5009
O 0.1914 0.8259 0.0009
O 0.2429 0.0062 0.7306
O 0.2429 0.9938 0.2306
O 0.3038 0.2353 0.9252
O 0.3038 0.7647 0.4252
O 0.4415 0.2558 0.0734
O 0.4415 0.7442 0.5734
O 0.4705 0.3776 0.6766
O 0.4705 0.6224 0.1766
O 0.5295 0.3776 0.8234
O 0.5295 0.6224 0.3234
O 0.5585 0.2558 0.4266
O 0.5585 0.7442 0.9266
O 0.6962 0.2353 0.5748
O 0.6962 0.7647 0.0748
O 0.7571 0.0062 0.7694
O 0.7571 0.9938 0.2694
O 0.8086 0.1741 0.9991
O 0.8086 0.8259 0.4991
O 0.8925 0.3621 0.1669
O 0.8925 0.6379 0.6669

***

5.
Below is crystalline CaAl2Si2O12 at its relaxed geometry, with properties calculated at the GGA-PBE level.

Results
Offset from the most stable computed form   16 meV per atom
Spin magnetization   2.0 μB/f.u.
E   -467.7 eV per cell
Space group   No. 14
E_form   -2302 meV per atom

Unit cell a=9.3602 b=10.6437 c=10.2629 alpha=90.00 beta=90.44 gamma=90.00
Positions (direct):
Ca 0.2407 0.0791 0.2638
Ca 0.2407 0.4209 0.7638
Ca 0.7593 0.5791 0.2362
Ca 0.7593 0.9209 0.7362
Al 0.0760 0.6570 0.6428
Al 0.0760 0.8430 0.1428
Al 0.4203 0.6288 0.3358
Al 0.4203 0.8712 0.8358
Al 0.5797 0.1288 0.1642
Al 0.5797 0.3712 0.6642
Al 0.9240 0.1570 0.8572
Al 0.9240 0.3430 0.3572
Si 0.0809 0.6164 0.3260
Si 0.0809 0.8836 0.8260
Si 0.4211 0.6428 0.6550
Si 0.4211 0.8572 0.1550
Si 0.5789 0.1428 0.8450
Si 0.5789 0.3572 0.3450
Si 0.9191 0.1164 0.1740
Si 0.9191 0.3836 0.6740
O 0.0039 0.2154 0.2743
O 0.0039 0.2846 0.7743
O 0.0190 0.5086 0.6998
O 0.0190 0.9914 0.1998
O 0.0632 0.6648 0.4748
O 0.0632 0.8352 0.9748
O 0.1355 0.1616 0.5343
O 0.1355 0.3384 0.0343
O 0.2383 0.2251 0.4954
O 0.2383 0.2749 0.9954
O 0.2457 0.5900 0.2899
O 0.2457 0.9100 0.7899
O 0.2522 0.6358 0.7005
O 0.2522 0.8642 0.2005
O 0.2582 0.5050 0.0315
O 0.2582 0.9950 0.5315
O 0.3663 0.0530 0.4951
O 0.3663 0.4470 0.9951
O 0.4401 0.6633 0.5008
O 0.4401 0.8367 0.0008
O 0.4645 0.0017 0.2015
O 0.4645 0.4983 0.7015
O 0.4975 0.2468 0.2617
O 0.4975 0.2532 0.7617
O 0.5025 0.7468 0.2383
O 0.5025 0.7532 0.7383
O 0.5355 0.5017 0.2985
O 0.5355 0.9983 0.7985
O 0.5599 0.1633 0.9992
O 0.5599 0.3367 0.4992
O 0.6337 0.5530 0.0049
O 0.6337 0.9470 0.5049
O 0.7418 0.0050 0.4685
O 0.7418 0.4950 0.9685
O 0.7478 0.1358 0.7995
O 0.7478 0.3642 0.2995
O 0.7543 0.0900 0.2101
O 0.7543 0.4100 0.7101
O 0.7617 0.7251 0.0046
O 0.7617 0.7749 0.5046
O 0.8645 0.6616 0.9657
O 0.8645 0.8384 0.4657
O 0.9368 0.1648 0.0252
O 0.9368 0.3352 0.5252
O 0.9810 0.0086 0.8002
O 0.9810 0.4914 0.3002
O 0.9961 0.7154 0.2257
O 0.9961 0.7846 0.7257

***

6.
Below is crystalline CaAl2Si4O14 at its relaxed geometry, with properties calculated at the GGA-PBE level.

Results
Offset from the most stable computed form   0 meV per atom
Spin magnetization   4.0 μB/f.u.
E   -601.2 eV per cell
Space group   No. 15
E_form   -2831 meV per atom

Unit cell a=11.9284 b=11.9284 c=13.6949 alpha=124.38 beta=124.38 gamma=71.21
Positions (direct):
Ca 0.2368 0.2413 0.1071
Ca 0.2413 0.2368 0.6071
Ca 0.7587 0.7632 0.3929
Ca 0.7632 0.7587 0.8929
Al 0.0854 0.7615 0.5367
Al 0.2385 0.9146 0.9633
Al 0.2408 0.5680 0.2712
Al 0.4320 0.7592 0.2288
Al 0.5680 0.2408 0.7712
Al 0.7592 0.4320 0.7288
Al 0.7615 0.0854 0.0367
Al 0.9146 0.2385 0.4633
Si 0.0461 0.2266 0.3036
Si 0.0513 0.2921 0.7621
Si 0.2211 0.4660 0.4248
Si 0.2266 0.0461 0.8036
Si 0.2888 0.4645 0.0323
Si 0.2921 0.0513 0.2621
Si 0.4645 0.2888 0.5323
Si 0.4660 0.2211 0.9248
Si 0.5340 0.7789 0.0752
Si 0.5355 0.7112 0.4677
Si 0.7079 0.9487 0.7379
Si 0.7112 0.5355 0.9677
Si 0.7734 0.9539 0.1964
Si 0.7789 0.5340 0.5752
Si 0.9487 0.7079 0.2379
Si 0.9539 0.7734 0.6964
O 0.0180 0.7553 0.0001
O 0.0293 0.2481 0.4240
O 0.0445 0.2392 0.6192
O 0.0860 0.8276 0.8431
O 0.0927 0.6637 0.2431
O 0.0943 0.3702 0.3499
O 0.1178 0.1741 0.8076
O 0.1612 0.4184 0.8765
O 0.1724 0.9140 0.6569
O 0.1741 0.1178 0.3076
O 0.1906 0.6216 0.5111
O 0.2358 0.4905 0.7258
O 0.2392 0.0445 0.1192
O 0.2397 0.4417 0.3036
O 0.2447 0.9820 0.4999
O 0.2467 0.4444 0.1172
O 0.2481 0.0293 0.9240
O 0.3295 0.6176 0.1045
O 0.3363 0.9073 0.2569
O 0.3599 0.4165 0.5244
O 0.3702 0.0943 0.8499
O 0.3784 0.8094 0.9889
O 0.3824 0.6705 0.3955
O 0.4165 0.3599 0.0244
O 0.4184 0.1612 0.3765
O 0.4417 0.2397 0.8036
O 0.4444 0.2467 0.6172
O 0.4905 0.2358 0.2258
O 0.5095 0.7642 0.7742
O 0.5556 0.7533 0.3828
O 0.5583 0.7603 0.1964
O 0.5816 0.8388 0.6235
O 0.5835 0.6401 0.9756
O 0.6176 0.3295 0.6045
O 0.6216 0.1906 0.0111
O 0.6298 0.9057 0.1501
O 0.6401 0.5835 0.4756
O 0.6637 0.0927 0.7431
O 0.6705 0.3824 0.8955
O 0.7519 0.9707 0.0760
O 0.7533 0.5556 0.8828
O 0.7553 0.0180 0.5001
O 0.7603 0.5583 0.6964
O 0.7608 0.9555 0.8808
O 0.7642 0.5095 0.2742
O 0.8094 0.3784 0.4889
O 0.8259 0.8822 0.6924
O 0.8276 0.0860 0.3431
O 0.8388 0.5816 0.1235
O 0.8822 0.8259 0.1924
O 0.9057 0.6298 0.6501
O 0.9073 0.3363 0.7569
O 0.9140 0.1724 0.1569
O 0.9555 0.7608 0.3808
O 0.9707 0.7519 0.5760
O 0.9820 0.2447 0.9999